Material: TlCo16Sb48
Method: DFT, PBE-GGA
State: relaxed

Properties
As for the crystal system: monoclinic. The energy of formation from the pure elements comes out at -0.3186 eV/atom. Its magnetic moment is 0.0 μB per formula unit. The total energy is -5.012 eV/atom.

a b c (Å): 7.8932 7.8932 25.7551
angles (deg): 89.98 89.98 70.50
Closest atoms and distances in Å follow each position.
Atoms (fractional coordinates):
1 Tl 0.0000 0.0000 0.0000  12 Sb 3.40-3.41
2 Co 0.2502 0.7498 0.8750  6 Sb 2.53-2.55
3 Co 0.7500 0.2501 0.6251  6 Sb 2.53-2.54
4 Co 0.2500 0.7499 0.3749  6 Sb 2.53-2.54
5 Co 0.7498 0.2502 0.1250  6 Sb 2.53-2.55
6 Co 0.4999 0.9999 0.7501  6 Sb 2.53-2.54
7 Co 0.0000 0.5000 0.5000  6 Sb 2.54
8 Co 0.5001 0.0001 0.2499  6 Sb 2.53-2.54
9 Co 0.0000 0.5000 0.0000  6 Sb 2.54-2.55
10 Co 0.9999 0.4999 0.7501  6 Sb 2.53-2.54
11 Co 0.5000 0.0000 0.5000  6 Sb 2.54
12 Co 0.0001 0.5001 0.2499  6 Sb 2.53-2.54
13 Co 0.5000 0.0000 0.0000  6 Sb 2.54-2.55
14 Co 0.7498 0.2502 0.8750  6 Sb 2.53-2.55
15 Co 0.2501 0.7500 0.6251  6 Sb 2.53-2.54
16 Co 0.7499 0.2500 0.3749  6 Sb 2.53-2.54
17 Co 0.2502 0.7498 0.1250  6 Sb 2.53-2.55
18 Sb 0.5060 0.8250 0.8326  2 Co 2.53
19 Sb 0.0068 0.3261 0.5833  2 Co 2.54
20 Sb 0.5070 0.8264 0.3335  2 Co 2.54
21 Sb 0.0076 0.3300 0.0846  2 Co 2.54-2.55
22 Sb 0.9924 0.6700 0.9154  2 Co 2.54-2.55
23 Sb 0.4930 0.1736 0.6665  2 Co 2.54
24 Sb 0.9932 0.6739 0.4167  2 Co 2.54
25 Sb 0.4940 0.1750 0.1674  2 Co 2.53
26 Sb 0.8250 0.5060 0.8326  2 Co 2.53
27 Sb 0.3261 0.0068 0.5833  2 Co 2.54
28 Sb 0.8264 0.5070 0.3335  2 Co 2.54
29 Sb 0.3300 0.0076 0.0846  2 Co 2.54-2.55
30 Sb 0.6700 0.9924 0.9154  2 Co 2.54-2.55
31 Sb 0.1736 0.4930 0.6665  2 Co 2.54
32 Sb 0.6739 0.9932 0.4167  2 Co 2.54
33 Sb 0.1750 0.4940 0.1674  2 Co 2.53
34 Sb 0.4166 0.7448 0.9596  2 Co 2.54
35 Sb 0.9132 0.2468 0.7100  2 Co 2.53-2.54
36 Sb 0.4132 0.7466 0.4601  2 Co 2.54
37 Sb 0.9134 0.2463 0.2104  2 Co 2.54-2.55
38 Sb 0.0866 0.7537 0.7896  2 Co 2.54-2.55
39 Sb 0.5868 0.2534 0.5399  2 Co 2.54
40 Sb 0.0868 0.7532 0.2900  2 Co 2.53-2.54
41 Sb 0.5834 0.2552 0.0404  2 Co 2.54
42 Sb 0.7537 0.0866 0.7896  2 Co 2.54-2.55
43 Sb 0.2534 0.5868 0.5399  2 Co 2.54
44 Sb 0.7532 0.0868 0.2900  2 Co 2.53-2.54
45 Sb 0.2552 0.5834 0.0404  2 Co 2.54
46 Sb 0.7448 0.4166 0.9596  2 Co 2.54
47 Sb 0.2468 0.9132 0.7100  2 Co 2.53-2.54
48 Sb 0.7466 0.4132 0.4601  2 Co 2.54
49 Sb 0.2463 0.9134 0.2104  2 Co 2.54-2.55
50 Sb 0.2549 0.2549 0.7926  2 Co 2.53
51 Sb 0.7538 0.7538 0.5434  2 Co 2.54
52 Sb 0.2536 0.2536 0.2936  2 Co 2.54
53 Sb 0.7507 0.7507 0.0444  2 Co 2.55
54 Sb 0.2493 0.2493 0.9556  2 Co 2.55
55 Sb 0.7464 0.7464 0.7064  2 Co 2.54
56 Sb 0.2462 0.2462 0.4566  2 Co 2.54
57 Sb 0.7451 0.7451 0.2074  2 Co 2.53
58 Sb 0.4140 0.4140 0.8724  2 Co 2.53
59 Sb 0.9132 0.9132 0.6232  2 Co 2.54
60 Sb 0.4133 0.4133 0.3733  2 Co 2.54
61 Sb 0.9120 0.9120 0.1250  2 Co 2.55
62 Sb 0.0880 0.0880 0.8750  2 Co 2.55
63 Sb 0.5867 0.5867 0.6267  2 Co 2.54
64 Sb 0.0868 0.0868 0.3768  2 Co 2.54
65 Sb 0.5860 0.5860 0.1276  2 Co 2.53


Material: CeSbS2Br2
Method: DFT, PBE-GGA
State: relaxed

Properties
As for the crystal system: monoclinic. The energy of formation from the pure elements comes out at -1.5417 eV/atom. Its magnetic moment is 1.0 μB per formula unit. The total energy is -4.797 eV/atom.

a b c (Å): 9.4222 8.8691 18.0214
angles (deg): 75.79 90.00 90.00
Closest atoms and distances in Å follow each position.
Atoms (fractional coordinates):
1 Ce 0.8679 0.1223 0.7565  2 S 2.96-2.98, 5 Br 3.10-3.26
2 Ce 0.8632 0.6131 0.7633  5 S 3.00-3.18, 4 Br 3.09-3.21
3 Ce 0.3632 0.3869 0.7367  5 S 3.00-3.18, 4 Br 3.09-3.21
4 Ce 0.3679 0.8777 0.7435  2 S 2.96-2.98, 5 Br 3.10-3.26
5 Ce 0.6321 0.1223 0.2565  2 S 2.96-2.98, 5 Br 3.10-3.26
6 Ce 0.1321 0.8777 0.2435  2 S 2.96-2.98, 5 Br 3.10-3.26
7 Ce 0.1368 0.3869 0.2367  5 S 3.00-3.18, 4 Br 3.09-3.21
8 Ce 0.6368 0.6131 0.2633  5 S 3.00-3.18, 4 Br 3.09-3.21
9 Sb 0.5413 0.7287 0.5500  3 S 2.46-2.57
10 Sb 0.3399 0.7241 0.0581  3 S 2.44-2.55
11 Sb 0.8399 0.2759 0.4419  3 S 2.44-2.55
12 Sb 0.1601 0.7241 0.5581  3 S 2.44-2.55
13 Sb 0.4587 0.2713 0.4500  3 S 2.46-2.57
14 Sb 0.9587 0.7287 0.0500  3 S 2.46-2.57
15 Sb 0.0413 0.2713 0.9500  3 S 2.46-2.57
16 Sb 0.6601 0.2759 0.9419  3 S 2.44-2.55
17 S 0.9393 0.6622 0.1905  1 Sb 2.46
18 S 0.1509 0.5196 0.0561  2 Sb 2.55-2.57
19 S 0.4393 0.3378 0.3095  1 Sb 2.46
20 S 0.1503 0.9298 0.0539  2 Sb 2.54-2.55
21 S 0.3497 0.9298 0.5539  2 Sb 2.54-2.55
22 S 0.8491 0.4804 0.9439  2 Sb 2.55-2.57
23 S 0.3354 0.6598 0.1979  1 Sb 2.44
24 S 0.1646 0.6598 0.6979  1 Sb 2.44
25 S 0.6646 0.3402 0.8021  1 Sb 2.44
26 S 0.3491 0.5196 0.5561  2 Sb 2.55-2.57
27 S 0.5607 0.6622 0.6905  1 Sb 2.46
28 S 0.6503 0.0702 0.4461  2 Sb 2.54-2.55
29 S 0.6509 0.4804 0.4439  2 Sb 2.55-2.57
30 S 0.8497 0.0702 0.9461  2 Sb 2.54-2.55
31 S 0.0607 0.3378 0.8095  1 Sb 2.46
32 S 0.8354 0.3402 0.3021  1 Sb 2.44
33 Br 0.5541 0.1619 0.6623  3 Ce 3.12-3.39, 1 S 3.45
34 Br 0.1283 0.5570 0.3682  2 Ce 3.11-3.16
35 Br 0.3717 0.5570 0.8682  2 Ce 3.11-3.16
36 Br 0.8259 0.8432 0.3308  3 Ce 3.10-3.26
37 Br 0.6302 0.9200 0.1369  2 Ce 3.09-3.13
38 Br 0.3698 0.0800 0.8631  2 Ce 3.09-3.13
39 Br 0.8717 0.4430 0.6318  2 Ce 3.11-3.16
40 Br 0.1741 0.1568 0.6692  3 Ce 3.10-3.26
41 Br 0.9459 0.1619 0.1623  3 Ce 3.12-3.39, 1 S 3.45
42 Br 0.4459 0.8381 0.3377  3 Ce 3.12-3.39, 1 S 3.45
43 Br 0.6283 0.4430 0.1318  2 Ce 3.11-3.16
44 Br 0.1302 0.0800 0.3631  2 Ce 3.09-3.13
45 Br 0.3259 0.1568 0.1692  3 Ce 3.10-3.26
46 Br 0.6741 0.8432 0.8308  3 Ce 3.10-3.26
47 Br 0.8698 0.9200 0.6369  2 Ce 3.09-3.13
48 Br 0.0541 0.8381 0.8377  3 Ce 3.12-3.39, 1 S 3.45


Material: SrVN2
Method: DFT, PBE-GGA
State: relaxed

Properties
As for the crystal system: monoclinic. The energy of formation from the pure elements comes out at -1.2373 eV/atom. Its magnetic moment is 0.0 μB per formula unit. The total energy is -7.918 eV/atom.

a b c (Å): 6.2940 7.3848 5.7275
angles (deg): 90.00 113.03 90.00
Closest atoms and distances in Å follow each position.
Atoms (fractional coordinates):
1 Sr 0.3428 0.9252 0.6847  3 N 2.56-2.69
2 Sr 0.6572 0.4252 0.8153  3 N 2.56-2.69
3 Sr 0.6572 0.0748 0.3153  3 N 2.56-2.69
4 Sr 0.3428 0.5748 0.1847  3 N 2.56-2.69
5 V 0.1213 0.3560 0.5729  4 N 1.83-1.94
6 V 0.8787 0.8560 0.9271  4 N 1.83-1.94
7 V 0.8787 0.6440 0.4271  4 N 1.83-1.94
8 V 0.1213 0.1440 0.0729  4 N 1.83-1.94
9 N 0.2087 0.9024 0.0720  2 V 1.87-1.94
10 N 0.7913 0.4024 0.4280  2 V 1.87-1.94
11 N 0.7913 0.0976 0.9280  2 V 1.87-1.94
12 N 0.2087 0.5976 0.5720  2 V 1.87-1.94
13 N 0.2624 0.2730 0.9004  2 V 1.83-1.84
14 N 0.7376 0.7730 0.5996  2 V 1.83-1.84
15 N 0.7376 0.7270 0.0996  2 V 1.83-1.84
16 N 0.2624 0.2270 0.4004  2 V 1.83-1.84